Compound: ZnCrP2O7
Source: the Materials Project
Functional: GGA+U
Structure: relaxed

Cell: 8.4532 7.1060 9.3469 Å, 70.01 90.00 90.00°
Fractional coordinates of all 44 atoms:
Zn (0.9379, 0.3080, 0.8135)
Zn (0.4379, 0.6919, 0.6865)
Zn (0.5621, 0.3080, 0.3135)
Zn (0.0621, 0.6919, 0.1865)
Cr (0.0665, 0.7602, 0.6122)
Cr (0.9335, 0.2398, 0.3878)
Cr (0.5665, 0.2398, 0.8878)
Cr (0.4335, 0.7602, 0.1122)
P (0.7383, 0.9308, 0.2487)
P (0.2284, 0.4615, 0.9725)
P (0.7617, 0.9308, 0.7487)
P (0.2716, 0.4615, 0.4725)
P (0.2383, 0.0692, 0.2513)
P (0.7284, 0.5385, 0.5275)
P (0.7716, 0.5385, 0.0275)
P (0.2617, 0.0692, 0.7513)
O (0.1892, 0.2490, 0.0964)
O (0.6040, 0.8834, 0.6930)
O (0.8960, 0.8834, 0.1930)
O (0.3898, 0.4529, 0.8957)
O (0.8108, 0.7510, 0.9036)
O (0.1023, 0.0480, 0.3634)
O (0.6102, 0.5471, 0.1043)
O (0.0908, 0.5026, 0.8609)
O (0.2608, 0.6174, 0.5543)
O (0.8977, 0.9520, 0.6366)
O (0.3977, 0.0480, 0.8634)
O (0.7551, 0.1163, 0.7999)
O (0.2551, 0.8837, 0.7001)
O (0.3108, 0.2490, 0.5964)
O (0.6023, 0.9520, 0.1366)
O (0.1040, 0.1166, 0.8070)
O (0.2449, 0.8837, 0.2001)
O (0.9092, 0.4974, 0.1391)
O (0.2392, 0.6174, 0.0543)
O (0.7608, 0.3826, 0.9457)
O (0.8898, 0.5471, 0.6043)
O (0.4092, 0.5026, 0.3609)
O (0.5908, 0.4974, 0.6391)
O (0.3960, 0.1166, 0.3070)
O (0.7449, 0.1163, 0.2999)
O (0.1102, 0.4529, 0.3957)
O (0.7392, 0.3826, 0.4457)
O (0.6892, 0.7510, 0.4036)

Calculated values
V in Å³ per cell: 528
Offset from the most stable computed form in meV per atom: 2.6
Space-group type: P2_1/c (14)

---

Compound: Na2V2O5
Source: the Materials Project
Functional: GGA+U
Structure: relaxed

Cell: 24.4226 5.3575 8.7765 Å, 89.62 90.00 90.00°
Fractional coordinates of all 72 atoms:
Na (0.7387, 0.7889, 0.5185)
Na (0.7613, 0.7889, 0.0185)
Na (0.2809, 0.7727, 0.7295)
Na (0.2191, 0.7727, 0.2295)
Na (0.5296, 0.7331, 0.9065)
Na (0.9704, 0.7331, 0.4065)
Na (0.0154, 0.7034, 0.8396)
Na (0.4846, 0.7034, 0.3396)
Na (0.5154, 0.2966, 0.6604)
Na (0.9846, 0.2966, 0.1604)
Na (0.0296, 0.2669, 0.5935)
Na (0.4704, 0.2669, 0.0935)
Na (0.7809, 0.2273, 0.7705)
Na (0.7191, 0.2273, 0.2705)
Na (0.2387, 0.2111, 0.9815)
Na (0.2613, 0.2111, 0.4815)
V (0.5881, 0.8305, 0.5404)
V (0.9119, 0.8305, 0.0404)
V (0.1128, 0.8022, 0.5205)
V (0.3872, 0.8022, 0.0205)
V (0.8644, 0.6954, 0.6990)
V (0.6356, 0.6954, 0.1990)
V (0.1630, 0.6706, 0.8611)
V (0.3370, 0.6706, 0.3611)
V (0.6630, 0.3294, 0.6389)
V (0.8370, 0.3294, 0.1389)
V (0.3644, 0.3046, 0.8010)
V (0.1356, 0.3046, 0.3010)
V (0.6128, 0.1978, 0.9795)
V (0.8872, 0.1978, 0.4795)
V (0.0881, 0.1695, 0.9596)
V (0.4119, 0.1695, 0.4596)
O (0.8865, 0.8573, 0.5194)
O (0.6135, 0.8573, 0.0194)
O (0.1012, 0.8375, 0.9325)
O (0.3988, 0.8375, 0.4325)
O (0.7971, 0.7796, 0.7441)
O (0.7029, 0.7796, 0.2441)
O (0.9201, 0.7610, 0.8352)
O (0.5308, 0.7338, 0.6402)
O (0.5799, 0.7610, 0.3352)
O (0.9692, 0.7338, 0.1402)
O (0.2212, 0.7660, 0.9578)
O (0.2788, 0.7660, 0.4578)
O (0.1688, 0.7395, 0.6563)
O (0.3312, 0.7395, 0.1563)
O (0.0458, 0.7192, 0.5719)
O (0.4542, 0.7192, 0.0719)
O (0.6510, 0.6634, 0.6091)
O (0.8490, 0.6634, 0.1091)
O (0.3659, 0.6427, 0.8409)
O (0.1341, 0.6427, 0.3409)
O (0.8659, 0.3573, 0.6591)
O (0.6341, 0.3573, 0.1591)
O (0.1510, 0.3366, 0.8909)
O (0.3490, 0.3366, 0.3909)
O (0.5458, 0.2808, 0.9281)
O (0.9542, 0.2808, 0.4281)
O (0.6688, 0.2605, 0.8437)
O (0.8312, 0.2605, 0.3437)
O (0.7212, 0.2340, 0.5422)
O (0.7788, 0.2340, 0.0422)
O (0.0308, 0.2662, 0.8598)
O (0.4201, 0.2390, 0.6648)
O (0.4692, 0.2662, 0.3598)
O (0.0799, 0.2390, 0.1648)
O (0.2971, 0.2204, 0.7559)
O (0.2029, 0.2204, 0.2559)
O (0.6012, 0.1625, 0.5675)
O (0.8988, 0.1625, 0.0675)
O (0.3865, 0.1427, 0.9806)
O (0.1135, 0.1427, 0.4806)

Calculated values
V in Å³ per cell: 1148
E_tot in eV per atom: -6.59
Space-group type: P2_1/c (14)

---

Compound: PrFeO3
Source: the Materials Project
Functional: GGA+U
Structure: relaxed

Cell: 5.5383 5.6972 7.9027 Å, 90.00 90.00 90.00°
Fractional coordinates of all 20 atoms:
Pr (0.0129, 0.9478, 0.7500)
Pr (0.5129, 0.5522, 0.2500)
Pr (0.4871, 0.4478, 0.7500)
Pr (0.9871, 0.0522, 0.2500)
Fe (0.0000, 0.5000, 0.5000)
Fe (0.5000, 0.0000, 0.5000)
Fe (0.5000, 0.0000, 0.0000)
Fe (0.0000, 0.5000, 0.0000)
O (0.7063, 0.2939, 0.4518)
O (0.2063, 0.2061, 0.5482)
O (0.7937, 0.7939, 0.0482)
O (0.2937, 0.7061, 0.9518)
O (0.2937, 0.7061, 0.5482)
O (0.7937, 0.7939, 0.4518)
O (0.2063, 0.2061, 0.9518)
O (0.7063, 0.2939, 0.0482)
O (0.0903, 0.4741, 0.2500)
O (0.5903, 0.0259, 0.7500)
O (0.4097, 0.9741, 0.2500)
O (0.9097, 0.5259, 0.7500)

Calculated values
V in Å³ per cell: 249
E_tot in eV per atom: -7.52
Space-group type: Pnma (62)

---

Compound: Tb2Mo3O12
Source: the Materials Project
Functional: GGA+U
Structure: relaxed

Cell: 7.4843 7.4843 10.7537 Å, 90.00 90.00 90.00°
Fractional coordinates of all 34 atoms:
Tb (0.1878, 0.6878, 0.2619)
Tb (0.8122, 0.3122, 0.2619)
Tb (0.6878, 0.8122, 0.7381)
Tb (0.3122, 0.1878, 0.7381)
Mo (0.2068, 0.7068, 0.6439)
Mo (0.7932, 0.2932, 0.6439)
Mo (0.7068, 0.7932, 0.3561)
Mo (0.2932, 0.2068, 0.3561)
Mo (0.0000, 0.0000, 0.0000)
Mo (0.5000, 0.5000, 0.0000)
O (0.1944, 0.6944, 0.4790)
O (0.8056, 0.3056, 0.4790)
O (0.6944, 0.8056, 0.5210)
O (0.3056, 0.1944, 0.5210)
O (0.6264, 0.1264, 0.6908)
O (0.3736, 0.8736, 0.6908)
O (0.1264, 0.3736, 0.3092)
O (0.8736, 0.6264, 0.3092)
O (0.7737, 0.0057, 0.2973)
O (0.2263, 0.9943, 0.2973)
O (0.5057, 0.2737, 0.2973)
O (0.4943, 0.7263, 0.2973)
O (0.0057, 0.2263, 0.7027)
O (0.9943, 0.7737, 0.7027)
O (0.7263, 0.5057, 0.7027)
O (0.2737, 0.4943, 0.7027)
O (0.8112, 0.9541, 0.9029)
O (0.1888, 0.0459, 0.9029)
O (0.4541, 0.3112, 0.9029)
O (0.5459, 0.6888, 0.9029)
O (0.9541, 0.1888, 0.0971)
O (0.0459, 0.8112, 0.0971)
O (0.6888, 0.4541, 0.0971)
O (0.3112, 0.5459, 0.0971)

Calculated values
V in Å³ per cell: 602
E_tot in eV per atom: -7.56
Space-group type: P-42_1m (113)

---

Compound: LiMnF4
Source: the Materials Project
Functional: GGA+U
Structure: relaxed

Cell: 4.2593 6.5683 6.5977 Å, 75.25 90.00 71.08°
Fractional coordinates of all 12 atoms:
Li (0.0957, 0.8087, 0.2204)
Li (0.9043, 0.1913, 0.7796)
Mn (0.2017, 0.5966, 0.8038)
Mn (0.7983, 0.4034, 0.1962)
F (0.0646, 0.8707, 0.8667)
F (0.1389, 0.7222, 0.5194)
F (0.7340, 0.5319, 0.8809)
F (0.6531, 0.6938, 0.2214)
F (0.3469, 0.3062, 0.7786)
F (0.2660, 0.4681, 0.1191)
F (0.8611, 0.2778, 0.4806)
F (0.9354, 0.1293, 0.1333)

Calculated values
V in Å³ per cell: 168
E_tot in eV per atom: -5.42
Space-group type: C2/m (12)

---

Compound: CrO3
Source: the Materials Project
Functional: GGA+U
Structure: relaxed

Cell: 5.0523 5.3357 5.8314 Å, 90.00 90.00 118.24°
Fractional coordinates of all 8 atoms:
Cr (0.5804, 0.1772, 0.2500)
Cr (0.4033, 0.8228, 0.7500)
O (0.7129, 0.8131, 0.7500)
O (0.1336, 0.5056, 0.7500)
O (0.6278, 0.4945, 0.2500)
O (0.8996, 0.1869, 0.2500)
O (0.3802, 0.0000, 0.0000)
O (0.3802, 0.0000, 0.5000)

Calculated values
V in Å³ per cell: 138
Offset from the most stable computed form in meV per atom: 0.0
Piezoelectric modulus e_max in C/m²: 0.9
Space-group type: Ama2 (40)

---

Compound: Na2V2O5
Source: the Materials Project
Functional: GGA+U
Structure: relaxed

Cell: 5.4111 5.5754 8.2443 Å, 109.77 109.07 90.02°
Fractional coordinates of all 18 atoms:
Na (0.6071, 0.1356, 0.2151)
Na (0.3927, 0.8630, 0.7846)
Na (0.1071, 0.5798, 0.2151)
Na (0.8928, 0.4215, 0.7847)
V (0.0115, 0.0015, 0.0002)
V (0.5113, 0.4988, 0.0003)
V (0.2082, 0.1804, 0.5000)
V (0.7085, 0.8195, 0.5003)
O (0.2402, 0.2240, 0.9771)
O (0.2874, 0.7441, 0.0227)
O (0.7395, 0.2527, 0.9768)
O (0.7879, 0.7784, 0.0222)
O (0.1675, 0.2032, 0.2835)
O (0.8849, 0.7983, 0.7171)
O (0.6682, 0.5825, 0.2831)
O (0.3845, 0.4170, 0.7174)
O (0.8640, 0.1201, 0.4994)
O (0.3646, 0.8796, 0.5003)

Calculated values
V in Å³ per cell: 219
E_tot in eV per atom: -6.64
Space-group type: P1 (1)

---

Compound: MgMn4O8
Source: the Materials Project
Functional: GGA+U
Structure: relaxed

Cell: 3.1106 7.6633 7.6570 Å, 87.76 78.30 78.30°
Fractional coordinates of all 13 atoms:
Mg (0.2569, 0.5000, 0.5001)
Mn (0.7089, 0.1654, 0.5239)
Mn (0.1252, 0.4771, 0.1657)
Mn (0.7677, 0.5230, 0.8343)
Mn (0.3982, 0.8346, 0.4760)
O (0.8259, 0.6952, 0.6239)
O (0.4735, 0.3750, 0.6977)
O (0.5462, 0.6249, 0.3023)
O (0.1454, 0.3047, 0.3762)
O (0.2249, 0.0461, 0.6272)
O (0.7300, 0.3730, 0.0463)
O (0.8982, 0.9538, 0.3727)
O (0.1489, 0.6270, 0.9538)

Calculated values
V in Å³ per cell: 175
Offset from the most stable computed form in meV per atom: 207.7
Space-group type: C2 (5)

---

Compound: YCrO3
Source: the Materials Project
Functional: GGA+U
Structure: relaxed

Cell: 6.0869 6.0869 12.0128 Å, 90.00 90.00 120.00°
Fractional coordinates of all 30 atoms:
Y (0.6667, 0.3333, 0.2337)
Y (0.3333, 0.6667, 0.7337)
Y (0.6667, 0.3333, 0.7337)
Y (0.3333, 0.6667, 0.2337)
Y (0.0000, 0.0000, 0.7768)
Y (0.0000, 0.0000, 0.2768)
Cr (0.6666, 0.0000, 0.5012)
Cr (0.6666, 0.6666, 0.0012)
Cr (0.0000, 0.3334, 0.0012)
Cr (0.0000, 0.6666, 0.5012)
Cr (0.3334, 0.3334, 0.5012)
Cr (0.3334, 0.0000, 0.0012)
O (0.6667, 0.3333, 0.0191)
O (0.3333, 0.6667, 0.5191)
O (0.6667, 0.3333, 0.5191)
O (0.3333, 0.6667, 0.0191)
O (0.0000, 0.0000, 0.9796)
O (0.0000, 0.0000, 0.4796)
O (0.3601, 0.0000, 0.8387)
O (0.3601, 0.3601, 0.3387)
O (0.0000, 0.6399, 0.3387)
O (0.0000, 0.3601, 0.8387)
O (0.6399, 0.6399, 0.8387)
O (0.6399, 0.0000, 0.3387)
O (0.3066, 0.0000, 0.1645)
O (0.3066, 0.3066, 0.6645)
O (0.0000, 0.6934, 0.6645)
O (0.0000, 0.3066, 0.1645)
O (0.6934, 0.6934, 0.1645)
O (0.6934, 0.0000, 0.6645)

Calculated values
V in Å³ per cell: 385
E_tot in eV per atom: -8.42
Space-group type: P6_3cm (185)

---

Compound: Li4Nb3Fe3Sb2O16
Source: the Materials Project
Functional: GGA+U
Structure: relaxed

Cell: 6.1778 6.1778 10.5542 Å, 89.25 89.25 59.42°
Fractional coordinates of all 28 atoms:
Li (0.6691, 0.6691, 0.0985)
Li (0.0011, 0.0011, 0.9974)
Li (0.0025, 0.0025, 0.5114)
Li (0.3364, 0.3364, 0.6110)
Nb (0.8268, 0.8268, 0.7697)
Nb (0.6598, 0.1628, 0.2807)
Nb (0.1628, 0.6598, 0.2807)
Fe (0.8172, 0.3456, 0.7873)
Fe (0.3456, 0.8172, 0.7873)
Fe (0.1676, 0.1676, 0.2924)
Sb (0.6456, 0.6456, 0.5069)
Sb (0.3242, 0.3242, 0.9804)
O (0.8349, 0.3054, 0.4018)
O (0.5182, 0.5182, 0.6573)
O (0.6797, 0.6797, 0.8950)
O (0.9957, 0.9957, 0.6907)
O (0.9976, 0.9976, 0.1812)
O (0.3054, 0.8349, 0.4018)
O (0.9803, 0.5202, 0.6730)
O (0.5202, 0.9803, 0.6730)
O (0.1568, 0.1568, 0.8910)
O (0.8560, 0.8560, 0.3930)
O (0.5049, 0.0165, 0.1844)
O (0.0165, 0.5049, 0.1844)
O (0.3446, 0.3446, 0.3947)
O (0.6780, 0.1606, 0.8930)
O (0.4929, 0.4929, 0.1813)
O (0.1606, 0.6780, 0.8930)

Calculated values
V in Å³ per cell: 347
Offset from the most stable computed form in meV per atom: 13.9
Space-group type: Cm (8)

---

Compound: V4OF11
Source: the Materials Project
Functional: GGA+U
Structure: relaxed

Cell: 5.2966 5.4621 9.1046 Å, 73.98 89.71 60.73°
Fractional coordinates of all 16 atoms:
V (0.7688, 0.4802, 0.2404)
V (0.5026, 0.9959, 0.4972)
V (0.2498, 0.5008, 0.7497)
V (0.9979, 0.0060, 0.0035)
O (0.9445, 0.2612, 0.1318)
F (0.9270, 0.7507, 0.5731)
F (0.9295, 0.7444, 0.1770)
F (0.5447, 0.7408, 0.3703)
F (0.4222, 0.7622, 0.0797)
F (0.4273, 0.7486, 0.6730)
F (0.5630, 0.2654, 0.3255)
F (0.5744, 0.2469, 0.9255)
F (0.4748, 0.2461, 0.6259)
F (0.0292, 0.7499, 0.8762)
F (0.0702, 0.2532, 0.8273)
F (0.0740, 0.2476, 0.4240)

Calculated values
V in Å³ per cell: 218
Offset from the most stable computed form in meV per atom: 1.1
Space-group type: P1 (1)

---

Number 11 is which compound?
V4OF11

---

Number 2 is which compound?
Na2V2O5